# 1
An optimized crystal structure of GdNi5. Source: Materials Project, functional meta-GGA r2SCAN.

Cell and atoms, written as CIF:
```
data_GdNi5
_chemical_formula_sum 'Gd1 Ni5'
_cell_length_a 4.8618
_cell_length_b 4.8618
_cell_length_c 3.9158
_cell_angle_alpha 90.00
_cell_angle_beta 90.00
_cell_angle_gamma 120.00
_space_group_name_H-M_alt 'P 6/m m m'
_space_group_IT_number 191
_space_group_name_Hall '-P 6 2'
loop_
_atom_site_label
_atom_site_fract_x
_atom_site_fract_y
_atom_site_fract_z
Gd1 0.0000 0.0000 0.0000
Ni1 0.0000 0.5000 0.5000
Ni2 0.3333 0.6667 0.0000
```



# 2
An optimized crystal structure of CeSnPt. Source: Materials Project, functional meta-GGA r2SCAN.

Cell and atoms, written as CIF:
```
data_CeSnPt
_chemical_formula_sum 'Ce4 Sn4 Pt4'
_cell_length_a 7.487
_cell_length_b 4.665
_cell_length_c 8.030
_cell_angle_alpha 90.00
_cell_angle_beta 90.00
_cell_angle_gamma 90.00
_space_group_name_H-M_alt 'P n m a'
_space_group_IT_number 62
loop_
_space_group_symop_operation_xyz
'x,y,z'
'-x,-y,-z'
'-x+1/2,-y,z+1/2'
'x+1/2,y,-z+1/2'
'x+1/2,-y+1/2,-z+1/2'
'-x+1/2,y+1/2,z+1/2'
'-x,y+1/2,-z'
'x,-y+1/2,z'
loop_
_atom_site_label
_atom_site_fract_x
_atom_site_fract_y
_atom_site_fract_z
Ce1 0.014 0.250 0.197
Sn1 0.176 0.250 0.584
Pt1 0.214 0.750 0.411
```



# 3
An optimized crystal structure of Er2ZnOs. Source: Materials Project, functional meta-GGA r2SCAN.

Cell and atoms, written as CIF:
```
data_Er2ZnOs
_chemical_formula_sum 'Er8 Zn4 Os4'
_cell_length_a 6.829
_cell_length_b 6.829
_cell_length_c 6.829
_cell_angle_alpha 90.00
_cell_angle_beta 90.00
_cell_angle_gamma 90.00
_space_group_name_H-M_alt 'F m -3 m'
_space_group_IT_number 225
_space_group_name_Hall '-F 4 2 3'
loop_
_atom_site_label
_atom_site_fract_x
_atom_site_fract_y
_atom_site_fract_z
Er1 0.250 0.250 0.250
Zn1 0.000 0.000 0.000
Os1 0.000 0.000 0.500
```



# 4
An optimized crystal structure of SnF4. Source: Materials Project, functional meta-GGA r2SCAN.

Cell and atoms, written as CIF:
```
data_SnF4
_chemical_formula_sum 'Sn2 F8'
_cell_length_a 4.078
_cell_length_b 4.078
_cell_length_c 7.769
_cell_angle_alpha 90.00
_cell_angle_beta 90.00
_cell_angle_gamma 90.00
_space_group_name_H-M_alt 'I 4/m m m'
_space_group_IT_number 139
_space_group_name_Hall '-I 4 2'
loop_
_atom_site_label
_atom_site_fract_x
_atom_site_fract_y
_atom_site_fract_z
Sn1 0.000 0.000 0.000
F1 0.000 0.000 0.244
F2 0.000 0.500 0.000
```



# 5
An optimized crystal structure of NaTl3F6. Source: Materials Project, functional meta-GGA r2SCAN.

Cell and atoms, written as CIF:
```
data_NaTl3F6
_chemical_formula_sum 'Na4 Tl12 F24'
_cell_length_a 8.749
_cell_length_b 8.749
_cell_length_c 8.749
_cell_angle_alpha 90.00
_cell_angle_beta 90.00
_cell_angle_gamma 90.00
_space_group_name_H-M_alt 'F m -3 m'
_space_group_IT_number 225
_space_group_name_Hall '-F 4 2 3'
loop_
_atom_site_label
_atom_site_fract_x
_atom_site_fract_y
_atom_site_fract_z
Na1 0.000 0.000 0.000
Tl1 0.000 0.000 0.500
Tl2 0.250 0.250 0.250
F1 0.000 0.000 0.253
```



# 6
An optimized crystal structure of Zn3Ir. Source: Materials Project, functional meta-GGA r2SCAN.

Cell and atoms, written as CIF:
```
data_Zn3Ir
_chemical_formula_sum 'Zn6 Ir2'
_cell_length_a 3.687
_cell_length_b 3.687
_cell_length_c 8.024
_cell_angle_alpha 90.00
_cell_angle_beta 90.00
_cell_angle_gamma 90.00
_space_group_name_H-M_alt 'I 4/m m m'
_space_group_IT_number 139
_space_group_name_Hall '-I 4 2'
loop_
_atom_site_label
_atom_site_fract_x
_atom_site_fract_y
_atom_site_fract_z
Zn1 0.000 0.000 0.000
Zn2 0.000 0.500 0.250
Ir1 0.000 0.000 0.500
```



# 7
An optimized crystal structure of Na2H16SO12. Source: Materials Project, functional meta-GGA r2SCAN.

Cell and atoms, written as CIF:
```
data_Na2H16SO12
_chemical_formula_sum 'Na4 H32 S2 O24'
_cell_length_a 7.858
_cell_length_b 8.063
_cell_length_c 8.171
_cell_angle_alpha 85.77
_cell_angle_beta 85.81
_cell_angle_gamma 88.39
_space_group_name_H-M_alt 'P -1'
_space_group_IT_number 2
loop_
_space_group_symop_operation_xyz
'x,y,z'
'-x,-y,-z'
loop_
_atom_site_label
_atom_site_fract_x
_atom_site_fract_y
_atom_site_fract_z
Na1 0.000 0.000 0.000
Na2 0.136 0.593 0.818
Na3 0.500 0.000 0.500
H1 0.055 0.663 0.507
H2 0.115 0.404 0.406
H3 0.125 0.253 0.719
H4 0.137 0.119 0.454
H5 0.167 0.924 0.687
H6 0.167 0.946 0.388
H7 0.205 0.305 0.107
H8 0.252 0.241 0.937
H9 0.302 0.918 0.816
H10 0.310 0.309 0.645
H11 0.401 0.089 0.149
H12 0.417 0.662 0.452
H13 0.443 0.653 0.913
H14 0.466 0.906 0.169
H15 0.489 0.330 0.388
H16 0.495 0.485 0.836
S1 0.212 0.667 0.203
O1 0.035 0.312 0.409
O2 0.107 0.821 0.212
O3 0.133 0.548 0.106
O4 0.184 0.885 0.802
O5 0.196 0.012 0.477
O6 0.221 0.322 0.736
O7 0.227 0.592 0.375
O8 0.232 0.202 0.054
O9 0.386 0.706 0.130
O10 0.444 0.596 0.812
O11 0.484 0.289 0.505
O12 0.490 0.018 0.200
```



# 8
An optimized crystal structure of CsBSe3. Source: Materials Project, functional meta-GGA r2SCAN.

Cell and atoms, written as CIF:
```
data_CsBSe3
_chemical_formula_sum 'Cs4 B4 Se12'
_cell_length_a 7.703
_cell_length_b 12.958
_cell_length_c 6.207
_cell_angle_alpha 90.00
_cell_angle_beta 106.82
_cell_angle_gamma 90.00
_space_group_name_H-M_alt 'P 1 21/c 1'
_space_group_IT_number 14
loop_
_space_group_symop_operation_xyz
'x,y,z'
'-x,-y,-z'
'-x,y+1/2,-z+1/2'
'x,-y+1/2,z+1/2'
loop_
_atom_site_label
_atom_site_fract_x
_atom_site_fract_y
_atom_site_fract_z
Cs1 0.240 0.078 0.287
B1 0.205 0.731 0.157
Se1 0.052 0.696 0.836
Se2 0.299 0.595 0.319
Se3 0.435 0.682 0.662
```



# 9
An optimized crystal structure of YZnPd. Source: Materials Project, functional meta-GGA r2SCAN.

Cell and atoms, written as CIF:
```
data_YZnPd
_chemical_formula_sum 'Y3 Zn3 Pd3'
_cell_length_a 7.2446
_cell_length_b 7.2446
_cell_length_c 3.8719
_cell_angle_alpha 90.00
_cell_angle_beta 90.00
_cell_angle_gamma 120.00
_space_group_name_H-M_alt 'P -6 2 m'
_space_group_IT_number 189
_space_group_name_Hall 'P -6 -2'
loop_
_atom_site_label
_atom_site_fract_x
_atom_site_fract_y
_atom_site_fract_z
Y1 0.0000 0.5957 0.0000
Zn1 0.0000 0.2500 0.5000
Pd1 0.0000 0.0000 0.0000
Pd2 0.3333 0.6667 0.5000
```



# 10
An optimized crystal structure of ReIr. Source: Materials Project, functional meta-GGA r2SCAN.

Cell and atoms, written as CIF:
```
data_ReIr
_chemical_formula_sum 'Re1 Ir1'
_cell_length_a 2.7537
_cell_length_b 2.7537
_cell_length_c 4.3964
_cell_angle_alpha 90.00
_cell_angle_beta 90.00
_cell_angle_gamma 120.00
_space_group_name_H-M_alt 'P -6 m 2'
_space_group_IT_number 187
_space_group_name_Hall 'P -6 2'
loop_
_atom_site_label
_atom_site_fract_x
_atom_site_fract_y
_atom_site_fract_z
Re1 0.0000 0.0000 0.0000
Ir1 0.3333 0.6667 0.5000
```



# 11
An optimized crystal structure of Nd2CdPd2. Source: Materials Project, functional meta-GGA r2SCAN.

Cell and atoms, written as CIF:
```
data_Nd2CdPd2
_chemical_formula_sum 'Nd4 Cd2 Pd4'
_cell_length_a 7.800
_cell_length_b 7.800
_cell_length_c 3.888
_cell_angle_alpha 90.00
_cell_angle_beta 90.00
_cell_angle_gamma 90.00
_space_group_name_H-M_alt 'P 4/m b m'
_space_group_IT_number 127
_space_group_name_Hall '-P 4 2ab'
loop_
_atom_site_label
_atom_site_fract_x
_atom_site_fract_y
_atom_site_fract_z
Nd1 0.174 0.326 0.000
Cd1 0.000 0.000 0.500
Pd1 0.127 0.627 0.500
```



# 12
An optimized crystal structure of FeP4. Source: Materials Project, functional meta-GGA r2SCAN.

Cell and atoms, written as CIF:
```
data_FeP4
_chemical_formula_sum 'Fe8 P32'
_cell_length_a 5.036
_cell_length_b 10.362
_cell_length_c 11.049
_cell_angle_alpha 90.00
_cell_angle_beta 91.20
_cell_angle_gamma 90.00
_space_group_name_H-M_alt 'C 1 2/c 1'
_space_group_IT_number 15
loop_
_space_group_symop_operation_xyz
'x,y,z'
'-x,-y,-z'
'-x,y,-z+1/2'
'x,-y,z+1/2'
'x+1/2,y+1/2,z'
'-x+1/2,-y+1/2,-z'
'-x+1/2,y+1/2,-z+1/2'
'x+1/2,-y+1/2,z+1/2'
loop_
_atom_site_label
_atom_site_fract_x
_atom_site_fract_y
_atom_site_fract_z
Fe1 0.000 0.076 0.250
Fe2 0.250 0.250 0.500
P1 0.040 0.093 0.050
P2 0.061 0.397 0.024
P3 0.201 0.268 0.708
P4 0.201 0.427 0.216
```



For reference, formation enthalpy at 0 K by record: -0.2745; -1.1318; -0.3956; -2.5715; -2.1951; -0.2652; -1.2538; -0.6965; -0.7559; -0.2025; -0.7704; -0.3365 eV/atom.